(w)
VASP calculation (PBE) on crystalline LiSbTe3O12 at its relaxed geometry. Values from VASP.

Values from the calculation:
- V: 219.9 Å³ per cell
- Size of the total moment: 0.00 μB/f.u.

The structure in Quantum ESPRESSO input format:
```
&SYSTEM
  ibrav = 0, nat = 17, ntyp = 4
/
ATOMIC_SPECIES
Li 6.94 Li.upf
Sb 121.76 Sb.upf
Te 127.60 Te.upf
O 16.00 O.upf
CELL_PARAMETERS angstrom
4.9069 0.0000 0.0000
0.0000 8.5564 0.0000
-0.0514 0.0000 5.2368
ATOMIC_POSITIONS angstrom
Li 0.0000 0.0000 0.0000
Sb 0.0000 3.2849 0.0000
Te -0.0257 1.7562 2.6184
Te 2.4534 5.9105 0.0000
Te 2.4277 7.5608 2.6184
O 0.9523 1.7204 4.2816
O 1.0493 3.0951 1.6895
O 1.1679 0.3022 1.8711
O 1.1993 4.6374 4.4821
O 1.3645 7.3849 4.2808
O 1.3970 6.1630 1.6393
O 3.4584 6.1630 3.5975
O 3.4909 7.3849 0.9560
O 3.6561 4.6374 0.7547
O 3.6875 0.3022 3.3657
O 3.8061 3.0951 3.5473
O 3.9031 1.7204 0.9552
```


(x)
VASP calculation (PBE) on crystalline LiSbTe3O12 at its relaxed geometry. Values from VASP.

Values from the calculation:
- V: 202.5 Å³ per cell

The structure in Quantum ESPRESSO input format:
```
&SYSTEM
  ibrav = 0, nat = 17, ntyp = 4
/
ATOMIC_SPECIES
Li 6.94 Li.upf
Sb 121.76 Sb.upf
Te 127.60 Te.upf
O 16.00 O.upf
CELL_PARAMETERS angstrom
5.1178 0.0000 0.0000
0.0024 5.3496 0.0000
0.0006 0.4263 7.3966
ATOMIC_POSITIONS angstrom
Li 0.0000 0.0000 0.0000
Sb 5.1032 3.3572 5.7549
Te 2.5446 0.7066 5.7571
Te 2.5597 0.4795 2.1216
Te 5.1126 3.1309 2.1212
O 0.6774 3.2563 3.8982
O 0.9591 1.7050 6.2873
O 0.9645 4.7993 1.6207
O 1.5611 4.4925 6.3062
O 1.5709 2.0825 1.5852
O 1.8677 0.5699 3.9292
O 3.2158 0.4108 0.2678
O 3.4324 2.3656 5.3363
O 3.5164 4.1897 2.6109
O 4.1654 1.4830 2.5833
O 4.1934 5.1162 5.4397
O 4.4994 3.1532 0.2940
```


(y)
VASP calculation (PBE) on crystalline LiSbTe3O12 at its relaxed geometry. Values from VASP.

Values from the calculation:
- V: 221.2 Å³ per cell
- Size of the total moment: 0.00 μB/f.u.

The structure in Quantum ESPRESSO input format:
```
&SYSTEM
  ibrav = 0, nat = 17, ntyp = 4
/
ATOMIC_SPECIES
Li 6.94 Li.upf
Sb 121.76 Sb.upf
Te 127.60 Te.upf
O 16.00 O.upf
CELL_PARAMETERS angstrom
4.9524 0.0000 0.0000
0.0000 8.5028 0.0000
-0.0433 0.0000 5.2534
ATOMIC_POSITIONS angstrom
Li 0.0000 0.0000 0.0000
Sb 2.4546 0.8526 2.6267
Te 0.0000 5.0736 0.0000
Te -0.0217 6.6521 2.6267
Te 2.4762 2.4305 0.0000
O 0.9759 6.5637 4.3205
O 1.0133 5.2370 1.6700
O 1.1635 7.9957 1.8760
O 1.2150 3.8014 4.5223
O 1.3698 1.0315 4.3171
O 1.4221 2.2800 1.6040
O 3.4870 2.2800 3.6495
O 3.5393 1.0315 0.9363
O 3.6941 3.8014 0.7311
O 3.7457 7.9957 3.3774
O 3.8958 5.2370 3.5834
O 3.9332 6.5637 0.9329
```


Most stable one: (y), least stable one: (x).


(w)
VASP calculation (PBE) on crystalline LiSc4Si4O14 at its relaxed geometry. Values from VASP.

Values from the calculation:
- V: 214.2 Å³ per cell
- Size of the total moment: 1.01 μB/f.u.

The structure in Quantum ESPRESSO input format:
```
&SYSTEM
  ibrav = 0, nat = 23, ntyp = 4
/
ATOMIC_SPECIES
Li 6.94 Li.upf
Sc 44.96 Sc.upf
Si 28.09 Si.upf
O 16.00 O.upf
CELL_PARAMETERS angstrom
-3.3566 3.3628 4.7448
3.3566 -3.3628 4.7448
3.3566 3.3628 -4.7448
ATOMIC_POSITIONS angstrom
Li 0.0000 0.0000 0.0000
Sc 1.6813 3.3628 -1.1996
Sc 1.6753 0.0000 3.5451
Sc 3.3566 1.6822 1.1717
Sc 0.0000 1.6806 5.9164
Si 0.0000 1.7708 1.2354
Si -1.5951 3.3628 3.4869
Si 0.0000 4.9548 1.2354
Si 1.5951 3.3628 3.4869
O 1.3258 1.3283 -0.0106
O 2.0307 -2.0345 4.7342
O 0.0000 0.0000 1.8703
O 3.3566 0.0000 2.3573
O 0.0000 0.0000 4.7360
O -1.3149 2.0483 2.3601
O 0.0000 3.3628 0.5005
O 1.3149 2.0483 2.3602
O 1.3258 5.3973 -0.0106
O 0.0000 0.0000 7.6052
O 2.0307 2.0345 4.7342
O -1.3149 4.6773 2.3601
O 1.3149 4.6773 2.3602
O 0.0000 3.3628 4.2190
```


(x)
VASP calculation (PBE) on crystalline LiSc4Si4O14 at its relaxed geometry. Values from VASP.

Values from the calculation:
- V: 212.7 Å³ per cell
- Size of the total moment: 1.00 μB/f.u.

The structure in Quantum ESPRESSO input format:
```
&SYSTEM
  ibrav = 0, nat = 23, ntyp = 4
/
ATOMIC_SPECIES
Li 6.94 Li.upf
Sc 44.96 Sc.upf
Si 28.09 Si.upf
O 16.00 O.upf
CELL_PARAMETERS angstrom
3.3152 1.9140 5.5874
-3.3152 1.9140 5.5874
0.0000 -3.8280 5.5874
ATOMIC_POSITIONS angstrom
Li 0.0000 0.0000 0.0000
Sc 0.0000 0.0000 4.0521
Sc 0.0000 -1.7713 7.0895
Sc -1.5340 0.8856 7.0895
Sc 1.5340 0.8856 7.0895
Si -1.6469 -0.9508 9.6646
Si 0.0000 0.0000 12.3870
Si 1.6469 -0.9508 9.6646
Si 0.0000 1.9016 9.6646
O 0.0000 -2.3274 4.4102
O -2.0156 1.1637 4.4102
O -1.9817 -1.1441 7.8434
O 0.0000 0.0000 1.9426
O 0.0000 0.0000 6.0416
O -1.3333 -0.7698 11.4522
O 0.0000 -1.5163 9.2823
O -1.3132 0.7582 9.2823
O 1.9817 -1.1441 7.8434
O 0.0000 2.2883 7.8434
O 2.0156 1.1637 4.4102
O 1.3333 -0.7698 11.4522
O 0.0000 1.5395 11.4522
O 1.3132 0.7582 9.2823
```


Most stable one: (x), least stable one: (w).


(w)
VASP calculation (PBE) on crystalline Li2SeO4 at its relaxed geometry. Values from VASP.

Values from the calculation:
- V: 618.5 Å³ per cell
- Size of the total moment: 0.33 μB/f.u.

The structure in Quantum ESPRESSO input format:
```
&SYSTEM
  ibrav = 0, nat = 42, ntyp = 3
/
ATOMIC_SPECIES
Li 6.94 Li.upf
Se 78.96 Se.upf
O 16.00 O.upf
CELL_PARAMETERS angstrom
8.1778 0.0000 0.0000
-3.9194 7.5685 0.0000
-1.9248 -1.4428 9.9927
ATOMIC_POSITIONS angstrom
Li 0.0000 0.0000 0.0000
Li -4.0562 5.2437 5.4926
Li 1.0877 0.5795 3.9501
Li -2.9602 5.9957 9.4628
Li 0.1460 2.3610 6.9039
Li 0.5381 4.1047 3.1286
Li 1.4032 5.3698 0.6408
Li 4.2789 -0.0581 2.6470
Li 0.9329 5.9052 6.8422
Li 3.8370 0.5796 8.7137
Li 4.6703 1.7791 6.1807
Li 5.0379 3.5589 2.3609
Se -1.3107 -0.0386 7.4384
Se -1.6570 5.9300 1.9223
Se 2.1116 -0.3395 6.6862
Se 2.3429 2.2064 1.6677
Se 2.9081 3.6992 7.8975
Se 3.0928 6.2352 2.7488
O -0.7300 0.1439 3.3446
O -4.6703 5.0050 8.7617
O -1.6924 1.5253 6.7845
O -2.5121 1.8659 9.9686
O -1.2810 4.3331 2.4940
O -1.9848 2.7345 9.2582
O -2.2368 5.7296 6.1415
O 1.7134 0.9904 0.6986
O -1.3935 6.9503 3.2773
O 1.1386 0.8625 6.0205
O -0.2505 6.3693 0.9612
O 1.4485 2.3414 3.0875
O 2.0702 -0.3498 8.3716
O 2.2833 3.6578 0.8860
O 1.2726 3.9563 7.5034
O 1.4983 5.8718 3.1401
O 3.7107 0.0180 6.3053
O 3.9641 1.8793 2.0542
O 3.0599 2.3353 8.8153
O 3.1247 6.3330 1.0628
O 3.7716 3.5075 6.4638
O 5.4744 -0.4298 8.4463
O 4.0748 5.0142 3.3703
O 2.6672 6.4384 6.1460
```


(x)
VASP calculation (PBE) on crystalline Li2SeO4 at its relaxed geometry. Values from VASP.

Values from the calculation:
- V: 622.0 Å³ per cell
- Size of the total moment: 0.33 μB/f.u.

The structure in Quantum ESPRESSO input format:
```
&SYSTEM
  ibrav = 0, nat = 42, ntyp = 3
/
ATOMIC_SPECIES
Li 6.94 Li.upf
Se 78.96 Se.upf
O 16.00 O.upf
CELL_PARAMETERS angstrom
8.6343 0.0000 0.0000
-2.3255 8.7693 0.0000
-3.6121 -1.4299 8.2152
ATOMIC_POSITIONS angstrom
Li -1.2713 0.9969 3.1964
Li -2.4249 1.9997 6.6645
Li -1.7660 -0.4998 7.5537
Li -0.7839 4.1403 3.8071
Li 1.2252 6.2919 0.5401
Li 2.1087 0.3536 2.9668
Li 0.5880 6.9858 5.2484
Li 1.4716 1.0475 7.6752
Li 3.4807 3.1991 4.4082
Li 4.4627 7.8392 0.6615
Li 5.1217 5.3397 1.5508
Li 3.9681 6.3425 5.0188
Se -1.3374 6.4387 2.4745
Se 0.4735 2.4713 1.5063
Se 0.1786 1.4066 5.3685
Se 2.5182 5.9327 2.8467
Se 2.2233 4.8681 6.7089
Se 4.0342 0.9007 5.7408
O -1.0121 1.6165 1.3848
O -2.7301 7.2438 2.0125
O -1.6139 4.8350 2.0778
O -1.3703 2.1113 4.9601
O 0.6488 3.6784 0.3791
O 0.3348 0.2933 4.0666
O 1.7165 1.3306 1.2733
O -0.0173 7.1750 1.7175
O -0.9429 6.3226 4.1129
O 0.6292 3.0710 3.0382
O -0.2196 0.4625 6.7994
O -0.7592 3.3013 7.8045
O 3.4560 4.0381 0.4107
O 2.9164 6.8769 1.4158
O 2.0676 4.2684 5.1771
O 3.6397 1.0168 4.1023
O 2.7141 0.1644 6.4978
O 0.9802 6.0088 6.9419
O 2.3620 7.0461 4.1486
O 2.0480 3.6609 7.8361
O 4.0671 5.2281 3.2551
O 4.3107 2.5044 6.1374
O 5.4269 0.0956 6.2027
O 3.7089 5.7229 6.8305
```


(y)
VASP calculation (PBE) on crystalline Li2SeO4 at its relaxed geometry. Values from VASP.

Values from the calculation:
- V: 594.1 Å³ per cell
- Size of the total moment: 0.00 μB/f.u.

The structure in Quantum ESPRESSO input format:
```
&SYSTEM
  ibrav = 0, nat = 42, ntyp = 3
/
ATOMIC_SPECIES
Li 6.94 Li.upf
Se 78.96 Se.upf
O 16.00 O.upf
CELL_PARAMETERS angstrom
6.6191 3.8215 3.9146
-6.6191 3.8215 3.9146
0.0000 -7.6431 3.9146
ATOMIC_POSITIONS angstrom
Li -3.8077 -3.6959 6.5252
Li -5.1045 1.4496 5.2184
Li -2.5498 -0.5703 4.7921
Li 1.2969 -5.1455 5.2184
Li -0.7811 -2.4934 6.9516
Li 1.7688 -1.9231 4.7921
Li -1.7688 1.9231 6.9516
Li 0.7810 2.4934 4.7921
Li -1.2969 5.1455 6.5252
Li 2.5498 0.5703 6.9516
Li 5.1046 -1.4496 6.5252
Li 3.8077 3.6959 5.2184
Se -0.7386 -2.9669 3.7756
Se -2.2001 2.1231 3.7756
Se -2.9387 -0.8438 7.9680
Se 2.9387 0.8438 3.7756
Se 2.2001 -2.1231 7.9680
Se 0.7386 2.9669 7.9680
O -4.5961 -0.5930 5.0860
O -2.1302 0.5803 3.1049
O -0.2168 -4.5046 4.1759
O -3.7927 2.4401 4.1759
O 0.5625 -2.1350 3.1049
O -1.2782 -2.0357 5.0684
O -1.7845 -4.2768 6.6577
O -4.0095 -2.0645 7.5678
O -2.4020 0.0891 6.6753
O -1.1239 2.1248 5.0684
O 1.5677 1.5546 3.1049
O 2.8116 -3.6839 5.0859
O -2.8116 3.6839 6.6577
O -1.5677 -1.5546 8.6388
O 1.1239 -2.1248 6.6753
O 2.4021 -0.0891 5.0684
O 4.0095 2.0645 4.1759
O 1.7845 4.2768 5.0859
O 1.2782 2.0357 6.6753
O -0.5625 2.1350 8.6388
O 3.7927 -2.4401 7.5678
O 0.2168 4.5046 7.5678
O 2.1302 -0.5803 8.6388
O 4.5961 0.5930 6.6577
```


Most stable one: (y), least stable one: (x).


(w)
VASP calculation (PBE) on crystalline Li2SeO4 at its relaxed geometry. Values from VASP.

Values from the calculation:
- V: 556.9 Å³ per cell

The structure in Quantum ESPRESSO input format:
```
&SYSTEM
  ibrav = 0, nat = 42, ntyp = 3
/
ATOMIC_SPECIES
Li 6.94 Li.upf
Se 78.96 Se.upf
O 16.00 O.upf
CELL_PARAMETERS angstrom
7.1231 4.1125 3.1682
-7.1231 4.1125 3.1682
0.0000 -8.2250 3.1682
ATOMIC_POSITIONS angstrom
Li -1.2701 -5.6674 3.9795
Li -5.5431 -1.7338 5.5253
Li -1.6515 -2.3731 3.9550
Li -4.2730 3.9336 3.9795
Li -2.8809 0.2437 5.5498
Li -1.2294 2.6167 3.9550
Li 1.2294 -2.6167 5.5498
Li 2.8809 -0.2437 3.9550
Li 4.2731 -3.9336 5.5253
Li 1.6514 2.3731 5.5498
Li 5.5431 1.7338 3.9795
Li 1.2701 5.6674 5.5253
Se -2.9101 0.1653 2.3701
Se 1.3119 -2.6029 2.3701
Se 1.5982 2.4376 2.3701
Se -1.5982 -2.4376 7.1346
Se -1.3119 2.6029 7.1346
Se 2.9101 -0.1653 7.1346
O -4.7236 -5.0560 5.3560
O -6.7404 1.5627 4.1487
O -2.2734 -1.3818 2.3729
O -2.5477 -4.1575 3.9466
O -4.8743 0.1276 5.5581
O -2.3840 0.9805 3.7363
O 2.0169 -6.6187 4.1487
O 0.3429 -2.5549 3.7363
O -0.0599 2.6597 2.3729
O 2.3334 -1.2780 2.3729
O -2.0411 -1.5744 5.7685
O -2.3267 4.2851 3.9466
O 2.3267 -4.2851 5.5581
O 2.0412 1.5744 3.7363
O -2.3334 1.2780 7.1319
O 0.0599 -2.6597 7.1319
O -0.3429 2.5549 5.7685
O -2.0169 6.6187 5.3560
O 2.3840 -0.9805 5.7685
O 4.8743 -0.1276 3.9466
O 2.5477 4.1575 5.5581
O 2.2734 1.3818 7.1319
O 6.7404 -1.5627 5.3560
O 4.7235 5.0560 4.1487
```


(x)
VASP calculation (PBE) on crystalline Li2SeO4 at its relaxed geometry. Values from VASP.

Values from the calculation:
- V: 682.1 Å³ per cell
- Size of the total moment: 0.33 μB/f.u.

The structure in Quantum ESPRESSO input format:
```
&SYSTEM
  ibrav = 0, nat = 42, ntyp = 3
/
ATOMIC_SPECIES
Li 6.94 Li.upf
Se 78.96 Se.upf
O 16.00 O.upf
CELL_PARAMETERS angstrom
8.5707 0.0000 0.0000
-3.8654 8.8233 0.0000
-3.1538 -2.8574 9.0199
ATOMIC_POSITIONS angstrom
Li 0.0000 0.0000 0.0000
Li -1.9417 1.0834 3.1308
Li -4.5690 6.6796 4.4315
Li -2.1320 2.8164 6.3376
Li 0.6767 3.9623 0.2506
Li -3.4505 6.0990 7.7762
Li 0.4301 5.3334 2.8251
Li 3.0694 1.5984 1.2854
Li 2.9444 -0.1962 4.2476
Li 1.5167 4.7853 6.1699
Li 2.6464 1.5698 7.4643
Li 3.9530 5.5478 1.6071
Se -4.5477 3.7216 7.8194
Se -1.3632 -0.8472 7.1819
Se 0.7557 -0.3058 2.8662
Se 0.0106 2.9992 7.7827
Se 2.2605 3.5258 3.4349
Se 1.4825 7.7196 2.7820
O -2.8475 -1.1736 7.9711
O -4.3222 2.2109 8.5289
O -3.4175 6.8981 2.5219
O -0.3811 0.6353 2.0578
O -4.8170 6.5438 6.3109
O -5.0020 4.9451 8.8589
O -3.1542 4.2775 7.0476
O 0.8382 -0.2390 4.5432
O -0.1595 -0.9647 8.4372
O 2.2485 0.3090 2.4234
O -1.4797 2.3673 8.1995
O 1.1484 3.6073 2.0925
O -0.0395 2.9125 6.1073
O 0.0725 7.1589 3.5154
O 1.9639 6.4921 1.7615
O 1.6844 4.8927 4.3063
O 5.1079 0.3824 2.0432
O 1.1548 2.0835 8.6091
O 0.3198 4.6255 8.1012
O 3.7729 3.9844 2.7942
O 4.1265 1.0494 5.4458
O 2.8437 3.3968 6.6712
O 6.5119 -0.7670 3.9456
O 5.2192 1.6147 5.1155
```


Most stable one: (w), least stable one: (x).


(w)
VASP calculation (PBE) on crystalline LiSe2O6 at its relaxed geometry. Values from VASP.

Values from the calculation:
- V: 315.6 Å³ per cell
- Size of the total moment: 1.00 μB/f.u.

The structure in Quantum ESPRESSO input format:
```
&SYSTEM
  ibrav = 0, nat = 18, ntyp = 3
/
ATOMIC_SPECIES
Li 6.94 Li.upf
Se 78.96 Se.upf
O 16.00 O.upf
CELL_PARAMETERS angstrom
6.1018 0.0000 0.0000
0.0000 6.2979 0.0000
-5.3688 0.0000 8.2133
ATOMIC_POSITIONS angstrom
Li 0.0000 1.2312 0.0000
Li -2.6844 5.0667 4.1067
Se -2.3075 0.4504 7.1684
Se 0.3769 5.8475 3.0617
Se 2.7994 1.8190 4.2023
Se 5.4838 4.4789 0.0957
O -0.2574 3.0633 0.8460
O -2.9418 3.2346 4.9526
O -3.0381 0.4414 5.3959
O -0.3537 5.8565 1.2893
O -3.4010 1.2649 8.1089
O -0.7166 5.0330 4.0022
O -0.8823 1.2733 7.0467
O 1.1310 1.6871 3.9604
O -1.5534 4.6108 8.0670
O 1.8021 5.0246 2.9400
O 3.7128 1.3164 2.9427
O 1.0284 4.9815 7.0494
```


(x)
VASP calculation (PBE) on crystalline LiSe2O6 at its relaxed geometry. Values from VASP.

Values from the calculation:
- V: 287.1 Å³ per cell
- Size of the total moment: 0.96 μB/f.u.

The structure in Quantum ESPRESSO input format:
```
&SYSTEM
  ibrav = 0, nat = 18, ntyp = 3
/
ATOMIC_SPECIES
Li 6.94 Li.upf
Se 78.96 Se.upf
O 16.00 O.upf
CELL_PARAMETERS angstrom
5.6259 0.0000 0.0000
0.0000 8.0702 0.0000
-3.8670 0.0000 6.3225
ATOMIC_POSITIONS angstrom
Li 0.0000 2.0091 0.0000
Li -1.9335 6.0611 3.1613
Se -1.0311 1.0342 4.6834
Se 0.9025 7.0360 1.5222
Se 2.7623 3.0462 1.6726
Se 0.8288 5.0240 4.8339
O -1.4799 0.1229 3.3628
O 0.4537 7.9473 0.2015
O -2.1486 2.1988 5.0989
O -0.2151 5.8714 1.9376
O 1.1854 2.5465 1.8067
O -0.7481 5.5237 4.9679
O 0.5120 1.6401 4.5595
O 2.4455 6.4301 1.3982
O 3.8076 1.8420 1.2022
O 1.8741 6.2283 4.3635
O 3.2913 3.9298 2.9716
O 1.3578 4.1404 6.1328
```


Most stable one: (w), least stable one: (x).